1.
Density functional theory data (PBE+U) for a geometry-optimized V3O7 structure.

* total energy after the MP2020 corrections: -255.34 eV per cell
* E_form: -2241 kJ/mol of formula units
* total DFT energy (no corrections): -7.520 eV per atom
* energy above the lowest structure with this stoichiometry: 0.016 eV/atom

a b c (Å): 10.1967 10.1967 10.1967
angles (deg): 91.84 91.84 159.36
Atoms (fractional coordinates):
V1 0.1838 0.8162 0.0000
V2 0.0000 0.0000 0.0000
V3 0.0000 0.3646 0.3646
V4 0.0000 0.6354 0.6354
V5 0.1838 0.1838 0.3675
V6 0.8162 0.8162 0.6325
V7 0.8162 0.1838 0.0000
V8 0.3646 0.0000 0.3646
V9 0.6354 0.0000 0.6354
O1 0.0995 0.9005 0.0000
O2 0.2927 0.7073 0.0000
O3 0.2911 0.9067 0.1978
O4 0.5000 0.5000 0.0000
O5 0.5000 0.9066 0.4066
O6 0.0934 0.5000 0.5934
O7 0.0933 0.2911 0.3844
O8 0.0933 0.7089 0.8022
O9 0.0995 0.0995 0.1990
O10 0.7089 0.9067 0.6156
O11 0.7073 0.7073 0.4146
O12 0.7073 0.2927 0.0000
O13 0.2927 0.2927 0.5854
O14 0.2911 0.0933 0.3844
O15 0.9005 0.0995 0.0000
O16 0.9005 0.9005 0.8010
O17 0.9067 0.7089 0.6156
O18 0.9067 0.2911 0.1978
O19 0.9066 0.5000 0.4066
O20 0.5000 0.0934 0.5934
O21 0.7089 0.0933 0.8022

=====

2.
Density functional theory data (PBE+U) for a geometry-optimized VH12SO10 structure.

* total energy after the MP2020 corrections: -554.98 eV per cell
* E_form: -3409 kJ/mol of formula units
* total DFT energy (no corrections): -5.424 eV per atom

a b c (Å): 6.3025 6.3025 24.8169
angles (deg): 81.89 81.89 70.47
Atoms (fractional coordinates):
V1 0.0542 0.9458 0.7500
V2 0.9458 0.0542 0.2500
V3 0.0000 0.0000 0.0000
V4 0.0000 0.0000 0.5000
H1 0.3275 0.0035 0.6551
H2 0.6725 0.9965 0.3449
H3 0.9965 0.6725 0.8449
H4 0.0035 0.3275 0.1551
H5 0.4440 0.7038 0.8018
H6 0.5560 0.2962 0.1982
H7 0.2962 0.5560 0.6982
H8 0.7038 0.4440 0.3018
H9 0.7102 0.3550 0.9415
H10 0.2898 0.6450 0.0585
H11 0.6450 0.2898 0.5585
H12 0.3550 0.7102 0.4415
H13 0.3189 0.9318 0.9074
H14 0.6811 0.0682 0.0926
H15 0.0682 0.6811 0.5926
H16 0.9318 0.3189 0.4074
H17 0.6925 0.7522 0.0020
H18 0.3075 0.2478 0.9980
H19 0.2478 0.3075 0.4980
H20 0.7522 0.6925 0.5020
H21 0.7800 0.8982 0.8458
H22 0.2200 0.1018 0.1542
H23 0.1018 0.2200 0.6542
H24 0.8982 0.7800 0.3458
H25 0.3547 0.9643 0.4214
H26 0.6453 0.0357 0.5786
H27 0.0357 0.6453 0.0786
H28 0.9643 0.3547 0.9214
H29 0.3048 0.7123 0.5691
H30 0.6952 0.2877 0.4309
H31 0.2877 0.6952 0.9309
H32 0.7123 0.3048 0.0691
H33 0.6617 0.9245 0.9473
H34 0.3383 0.0755 0.0527
H35 0.0755 0.3383 0.5527
H36 0.9245 0.6617 0.4473
H37 0.6650 0.1927 0.7002
H38 0.3350 0.8073 0.2998
H39 0.8073 0.3350 0.7998
H40 0.1927 0.6650 0.2002
H41 0.4939 0.9208 0.7679
H42 0.5061 0.0792 0.2321
H43 0.0792 0.5061 0.7321
H44 0.9208 0.4939 0.2679
H45 0.7191 0.9392 0.6893
H46 0.2809 0.0608 0.3107
H47 0.0608 0.2809 0.8107
H48 0.9392 0.7191 0.1893
S1 0.4194 0.3174 0.8765
S2 0.5806 0.6826 0.1235
S3 0.6826 0.5806 0.6235
S4 0.3174 0.4194 0.3765
O1 0.2112 0.8610 0.9286
O2 0.7888 0.1390 0.0714
O3 0.1390 0.7888 0.5714
O4 0.8610 0.2112 0.4286
O5 0.5415 0.4225 0.8305
O6 0.4585 0.5775 0.1695
O7 0.5775 0.4585 0.6695
O8 0.4225 0.5415 0.3305
O9 0.2012 0.0990 0.6779
O10 0.7988 0.9010 0.3221
O11 0.9010 0.7988 0.8221
O12 0.0990 0.2012 0.1779
O13 0.6252 0.8223 0.6341
O14 0.3748 0.1777 0.3659
O15 0.1777 0.3748 0.8659
O16 0.8223 0.6252 0.1341
O17 0.5296 0.0652 0.8821
O18 0.4704 0.9348 0.1179
O19 0.9348 0.4704 0.6179
O20 0.0652 0.5296 0.3821
O21 0.3190 0.8638 0.4530
O22 0.6810 0.1362 0.5470
O23 0.1362 0.6810 0.0470
O24 0.8638 0.3190 0.9530
O25 0.3730 0.8589 0.7847
O26 0.6270 0.1411 0.2153
O27 0.1411 0.6270 0.7153
O28 0.8589 0.3730 0.2847
O29 0.7588 0.8539 0.9770
O30 0.2412 0.1461 0.0230
O31 0.1461 0.2412 0.5230
O32 0.8539 0.7588 0.4770
O33 0.7219 0.0341 0.7176
O34 0.2781 0.9659 0.2824
O35 0.9659 0.2781 0.7824
O36 0.0341 0.7219 0.2176
O37 0.4273 0.4033 0.9293
O38 0.5727 0.5967 0.0707
O39 0.5967 0.5727 0.5707
O40 0.4033 0.4273 0.4293

=====

Asked for theoretical density across the records above, the calculation gives 3588 1852 kg/m3 in order.